Mn5V4O12 PBE with a Hubbard U relaxed; formation energy from the elements = -2.286 eV/atom; symmetry = No. 15; V = 11.782 A^3/atom
1.0
4.401 -4.263 0.000
4.401 4.263 0.000
-4.325 0.000 13.186
Mn V O
10 8 24
direct
0.126 0.874 0.750
0.204 0.460 0.917
0.332 0.334 0.167
0.334 0.332 0.667
0.460 0.204 0.417
0.540 0.796 0.583
0.666 0.668 0.333
0.668 0.666 0.833
0.796 0.540 0.083
0.874 0.126 0.250
0.000 0.000 0.000
0.000 0.000 0.500
0.000 0.500 0.500
0.168 0.667 0.335
0.333 0.832 0.165
0.500 0.000 0.000
0.667 0.168 0.835
0.832 0.333 0.665
0.069 0.098 0.657
0.085 0.548 0.656
0.098 0.069 0.157
0.120 0.584 0.176
0.221 0.740 0.491
0.222 0.237 0.505
0.237 0.222 0.005
0.260 0.779 0.009
0.404 0.433 0.327
0.416 0.880 0.324
0.433 0.404 0.827
0.452 0.915 0.844
0.548 0.085 0.156
0.567 0.596 0.173
0.584 0.120 0.676
0.596 0.567 0.673
0.740 0.221 0.991
0.763 0.778 0.995
0.778 0.763 0.495
0.779 0.260 0.509
0.880 0.416 0.824
0.902 0.931 0.843
0.915 0.452 0.344
0.931 0.902 0.343

Mn2V3O12 PBE with a Hubbard U relaxed; formation energy from the elements = -1.976 eV/atom; symmetry = No. 14; V = 14.207 A^3/atom; magnetic moment = 0.41 μB per atom
1.0
8.732 0.000 0.000
0.000 9.012 0.000
-8.592 0.000 12.276
Mn V O
8 12 48
direct
0.128 0.029 0.381
0.128 0.471 0.881
0.368 0.026 0.116
0.368 0.474 0.616
0.632 0.526 0.384
0.632 0.974 0.884
0.872 0.529 0.119
0.872 0.971 0.619
0.030 0.612 0.642
0.030 0.888 0.142
0.255 0.118 0.648
0.255 0.382 0.148
0.457 0.749 0.990
0.457 0.751 0.490
0.543 0.249 0.510
0.543 0.251 0.010
0.745 0.618 0.852
0.745 0.882 0.352
0.970 0.112 0.858
0.970 0.388 0.358
0.007 0.709 0.175
0.007 0.791 0.675
0.103 0.070 0.682
0.103 0.430 0.182
0.113 0.006 0.251
0.113 0.494 0.751
0.159 0.065 0.515
0.159 0.435 0.015
0.182 0.608 0.601
0.182 0.892 0.101
0.196 0.058 0.964
0.196 0.442 0.464
0.245 0.659 0.930
0.245 0.841 0.430
0.280 0.188 0.155
0.280 0.312 0.655
0.363 0.124 0.443
0.363 0.376 0.943
0.462 0.659 0.387
0.462 0.841 0.887
0.469 0.026 0.733
0.469 0.474 0.233
0.485 0.628 0.588
0.485 0.872 0.088
0.515 0.128 0.912
0.515 0.372 0.412
0.531 0.526 0.767
0.531 0.974 0.267
0.538 0.159 0.113
0.538 0.341 0.613
0.637 0.624 0.057
0.637 0.876 0.557
0.720 0.688 0.345
0.720 0.812 0.845
0.755 0.159 0.570
0.755 0.341 0.070
0.804 0.558 0.536
0.804 0.942 0.036
0.818 0.108 0.899
0.818 0.392 0.399
0.841 0.565 0.985
0.841 0.935 0.485
0.887 0.506 0.249
0.887 0.994 0.749
0.897 0.570 0.818
0.897 0.930 0.318
0.993 0.209 0.325
0.993 0.291 0.825

MnV2O8 PBE with a Hubbard U relaxed; formation energy from the elements = -1.719 eV/atom; symmetry = No. 62; V = 16.210 A^3/atom; magnetic moment = 0.09 μB per atom
1.0
5.606 0.000 0.000
0.000 10.683 0.000
0.000 0.000 11.909
Mn V O
4 8 32
direct
0.022 0.250 0.039
0.478 0.750 0.539
0.522 0.250 0.461
0.978 0.750 0.961
0.193 0.529 0.170
0.193 0.971 0.170
0.307 0.029 0.670
0.307 0.471 0.670
0.693 0.529 0.330
0.693 0.971 0.330
0.807 0.029 0.830
0.807 0.471 0.830
0.006 0.062 0.717
0.006 0.438 0.717
0.123 0.620 0.059
0.123 0.880 0.059
0.161 0.125 0.136
0.161 0.375 0.136
0.232 0.750 0.456
0.237 0.750 0.886
0.263 0.250 0.386
0.268 0.250 0.956
0.339 0.625 0.636
0.339 0.875 0.636
0.377 0.120 0.559
0.377 0.380 0.559
0.494 0.562 0.217
0.494 0.938 0.217
0.506 0.062 0.783
0.506 0.438 0.783
0.623 0.620 0.441
0.623 0.880 0.441
0.661 0.125 0.364
0.661 0.375 0.364
0.732 0.750 0.044
0.737 0.750 0.614
0.763 0.250 0.114
0.768 0.250 0.544
0.839 0.625 0.864
0.839 0.875 0.864
0.877 0.120 0.941
0.877 0.380 0.941
0.994 0.562 0.283
0.994 0.938 0.283

Mn2V2O7 PBE with a Hubbard U relaxed; largest piezoelectric modulus = 1.85 C/m²; formation energy from the elements = -2.159 eV/atom; distance to the lowest polymorph of the same formula = 0.1609 eV/atom; symmetry = No. 1; V = 12.665 A^3/atom; magnetic moment = 0.55 μB per atom
1.0
5.091 0.000 0.000
-0.589 5.356 0.000
-0.573 -1.890 5.109
Mn V O
2 2 7
direct
0.000 0.000 0.000
0.004 0.344 0.620
0.385 0.899 0.575
0.612 0.416 0.062
0.160 0.746 0.738
0.223 0.022 0.357
0.256 0.245 0.902
0.494 0.620 0.387
0.707 0.112 0.748
0.757 0.677 0.981
0.834 0.259 0.240

Q: Among the records above, which one has the lowest formation energy from the elements?
A: Mn5V4O12

Repeat the first record exactly.
Mn5V4O12 PBE with a Hubbard U relaxed; formation energy from the elements = -2.286 eV/atom; symmetry = No. 15; V = 11.782 A^3/atom
1.0
4.401 -4.263 0.000
4.401 4.263 0.000
-4.325 0.000 13.186
Mn V O
10 8 24
direct
0.126 0.874 0.750
0.204 0.460 0.917
0.332 0.334 0.167
0.334 0.332 0.667
0.460 0.204 0.417
0.540 0.796 0.583
0.666 0.668 0.333
0.668 0.666 0.833
0.796 0.540 0.083
0.874 0.126 0.250
0.000 0.000 0.000
0.000 0.000 0.500
0.000 0.500 0.500
0.168 0.667 0.335
0.333 0.832 0.165
0.500 0.000 0.000
0.667 0.168 0.835
0.832 0.333 0.665
0.069 0.098 0.657
0.085 0.548 0.656
0.098 0.069 0.157
0.120 0.584 0.176
0.221 0.740 0.491
0.222 0.237 0.505
0.237 0.222 0.005
0.260 0.779 0.009
0.404 0.433 0.327
0.416 0.880 0.324
0.433 0.404 0.827
0.452 0.915 0.844
0.548 0.085 0.156
0.567 0.596 0.173
0.584 0.120 0.676
0.596 0.567 0.673
0.740 0.221 0.991
0.763 0.778 0.995
0.778 0.763 0.495
0.779 0.260 0.509
0.880 0.416 0.824
0.902 0.931 0.843
0.915 0.452 0.344
0.931 0.902 0.343

Please write out number 4 again, unchanged.
Mn2V2O7 PBE with a Hubbard U relaxed; largest piezoelectric modulus = 1.85 C/m²; formation energy from the elements = -2.159 eV/atom; distance to the lowest polymorph of the same formula = 0.1609 eV/atom; symmetry = No. 1; V = 12.665 A^3/atom; magnetic moment = 0.55 μB per atom
1.0
5.091 0.000 0.000
-0.589 5.356 0.000
-0.573 -1.890 5.109
Mn V O
2 2 7
direct
0.000 0.000 0.000
0.004 0.344 0.620
0.385 0.899 0.575
0.612 0.416 0.062
0.160 0.746 0.738
0.223 0.022 0.357
0.256 0.245 0.902
0.494 0.620 0.387
0.707 0.112 0.748
0.757 0.677 0.981
0.834 0.259 0.240